[1]
Crystalline LiVF4 at its relaxed geometry. Source: the Materials Project, functional GGA+U.

magnetization = 2.0 μB/f.u.
relative energy among the computed polymorphs = 0.55 kcal/mol of atoms
DFT total energy = -5.712 eV per atom

a b c (Å): 11.823 5.208 5.232
angles (deg): 90.00 102.07 90.00
Space group C2/c (No. 15)
Asymmetric unit:
Li  0.000  0.096  0.250 x4
V  0.250  0.250  0.000 x4
F  0.094  0.132  0.992 x8
F  0.201  0.424  0.663 x8


[2]
Crystalline YWO2 at its relaxed geometry. Source: the Materials Project, functional GGA+U.

magnetization = 3.0 μB/f.u.
DFT total energy = -7.612 eV per atom

a b c (Å): 6.327 6.327 12.012
angles (deg): 90.00 90.00 90.00
Space group I4_1/amd (No. 141, origin choice 2)
Asymmetric unit:
Y  0.000  0.000  0.000 x8
W  0.000  0.000  0.500 x8
O  0.000  0.021  0.198 x16


[3]
Crystalline Li4Ti3Fe5O16 at its relaxed geometry. Source: the Materials Project, functional GGA+U.

magnetization = 24.0 μB/f.u.
relative energy among the computed polymorphs = 0.00 kcal/mol of atoms
DFT total energy = -7.009 eV per atom

a b c (Å): 5.831 5.863 9.608
angles (deg): 89.64 89.66 60.67
Space group P1 (No. 1)
Asymmetric unit:
Li  0.000  0.000  0.000 x1
Li  0.003  0.993  0.500 x1
Li  0.329  0.319  0.105 x1
Li  0.659  0.658  0.600 x1
Ti  0.161  0.652  0.782 x1
Ti  0.653  0.160  0.780 x1
Ti  0.816  0.830  0.282 x1
Fe  0.165  0.164  0.784 x1
Fe  0.318  0.330  0.504 x1
Fe  0.336  0.820  0.283 x1
Fe  0.653  0.657  0.004 x1
Fe  0.826  0.330  0.282 x1
O  0.001  0.981  0.185 x1
O  0.030  0.475  0.660 x1
O  0.154  0.668  0.394 x1
O  0.164  0.151  0.392 x1
O  0.319  0.830  0.893 x1
O  0.332  0.330  0.894 x1
O  0.475  0.474  0.662 x1
O  0.477  0.031  0.660 x1
O  0.508  0.515  0.162 x1
O  0.518  0.952  0.159 x1
O  0.662  0.666  0.394 x1
O  0.671  0.158  0.395 x1
O  0.831  0.318  0.893 x1
O  0.831  0.828  0.896 x1
O  0.956  0.504  0.161 x1
O  0.995  0.993  0.687 x1


[4]
Crystalline Sr2AlTlV2O7 at its relaxed geometry. Source: the Materials Project, functional GGA+U.

magnetization = 4.0 μB/f.u.
DFT total energy = -6.466 eV per atom

a b c (Å): 3.751 3.751 13.303
angles (deg): 90.00 90.00 90.00
Space group P4/mmm (No. 123)
Asymmetric unit:
Sr  0.000  0.000  0.182 x2
Al  0.000  0.000  0.500 x1
Tl  0.500  0.500  0.000 x1
V  0.500  0.500  0.361 x2
O  0.000  0.000  0.000 x1
O  0.000  0.500  0.408 x4
O  0.500  0.500  0.215 x2


[5]
Crystalline Y2MnCrO6 at its relaxed geometry. Source: the Materials Project, functional GGA+U.

magnetization = 4.0 μB/f.u.
relative energy among the computed polymorphs = 0.00 kcal/mol of atoms
DFT total energy = -8.466 eV per atom

a b c (Å): 7.624 5.335 5.716
angles (deg): 90.00 90.44 90.00
Space group P2_1/c (No. 14)
Asymmetric unit:
Y  0.250  0.019  0.073 x4
Mn  0.500  0.000  0.500 x2
Cr  0.000  0.000  0.500 x2
O  0.058  0.192  0.803 x4
O  0.250  0.615  0.959 x4
O  0.443  0.204  0.820 x4


[6]
Crystalline Sr2FeCuSO3 at its relaxed geometry. Source: the Materials Project, functional GGA+U.

magnetization = 5.0 μB/f.u.
DFT total energy = -5.882 eV per atom

a b c (Å): 3.952 3.952 15.750
angles (deg): 90.00 90.00 90.00
Space group P4/nmm (No. 129, origin choice 2)
Asymmetric unit:
Sr  0.250  0.250  0.088 x2
Sr  0.250  0.250  0.316 x2
Fe  0.250  0.250  0.810 x2
Cu  0.250  0.750  0.500 x2
S  0.250  0.250  0.590 x2
O  0.250  0.250  0.932 x2
O  0.250  0.750  0.212 x4


We obtain energy relative to the elements values of -3.195, -1.735, -2.345, -2.306, -3.102, -2.118 eV/atom for the records listed above, in that order.